Compound: FeF6
Source: Materials Project
Functional: GGA+U
Structure: relaxed

The space group is C2/c (No. 15) and the conventional cell measures 3.1019, 10.3143 and 15.5509 Å, with angles of 90.00, 91.74 and 90.00 degrees. Symmetry generates all atoms from Fe at (0.2500, 0.2500, 0.0000), F at (0.1139, 0.0569, 0.2905), F at (0.2177, 0.3550, 0.5398) and F at (0.2314, 0.1657, 0.9022).

Its formation energy is -1.596 eV/atom. The MP2020-corrected energy is -4.4475 eV/atom.